1.
Here is Mg16Al12Zn after structural relaxation from Materials Project. Energies are from PBE.

Output
* calculated total energy: -2.4926 eV/atom
* space group: No. 217
* ΔE to the lowest computed polymorph: 1.0 kJ/mol of atoms
* energy of formation: -0.02 eV/atom
* calculated density: 2.22 g/cm3

Cell and atoms, written as POSCAR:
```
Mg16Al12Zn
1.0
-5.256 5.256 5.256
5.256 -5.256 5.256
5.256 5.256 -5.256
Mg Al Zn
16 12 1
direct
0.000 0.000 0.331
0.000 0.313 0.599
0.000 0.331 0.000
0.000 0.599 0.313
0.286 0.687 0.687
0.313 0.000 0.599
0.313 0.599 0.000
0.331 0.000 0.000
0.401 0.401 0.714
0.401 0.714 0.401
0.599 0.000 0.313
0.599 0.313 0.000
0.669 0.669 0.669
0.687 0.286 0.687
0.687 0.687 0.286
0.714 0.401 0.401
0.000 0.632 0.814
0.000 0.814 0.632
0.183 0.368 0.368
0.186 0.186 0.817
0.186 0.817 0.186
0.368 0.183 0.368
0.368 0.368 0.183
0.632 0.000 0.814
0.632 0.814 0.000
0.814 0.000 0.632
0.814 0.632 0.000
0.817 0.186 0.186
0.000 0.000 0.000
```

2.
Here is Ba3PrB9O18 after structural relaxation from Materials Project. Energies are from PBE.

Output
* calculated total energy: -7.8668 eV/atom
* space group: No. 176
* corrected total energy (MP2020 scheme): -8.266 eV per atom
* energy of formation: -3.11 eV/atom
* calculated density: 3.75 g/cm3

Cell and atoms, written as POSCAR:
```
Ba3PrB9O18
1.0
7.334 0.000 0.000
-3.667 6.351 0.000
0.000 0.000 17.852
Ba Pr B O
6 2 18 36
direct
0.000 0.000 0.250
0.000 0.000 0.750
0.333 0.667 0.136
0.333 0.667 0.364
0.667 0.333 0.636
0.667 0.333 0.864
0.000 0.000 0.000
0.000 0.000 0.500
0.119 0.497 0.750
0.163 0.709 0.583
0.163 0.709 0.917
0.291 0.454 0.583
0.291 0.454 0.917
0.378 0.881 0.750
0.454 0.163 0.083
0.454 0.163 0.417
0.497 0.378 0.250
0.503 0.622 0.750
0.546 0.837 0.583
0.546 0.837 0.917
0.622 0.119 0.250
0.709 0.546 0.083
0.709 0.546 0.417
0.837 0.291 0.083
0.837 0.291 0.417
0.881 0.503 0.250
0.001 0.744 0.585
0.001 0.744 0.915
0.077 0.665 0.250
0.127 0.501 0.582
0.127 0.501 0.918
0.169 0.709 0.750
0.256 0.257 0.585
0.256 0.257 0.915
0.257 0.001 0.085
0.257 0.001 0.415
0.291 0.460 0.750
0.335 0.413 0.250
0.374 0.873 0.582
0.374 0.873 0.918
0.413 0.077 0.750
0.460 0.169 0.250
0.499 0.626 0.582
0.499 0.626 0.918
0.501 0.374 0.082
0.501 0.374 0.418
0.540 0.831 0.750
0.587 0.923 0.250
0.626 0.127 0.082
0.626 0.127 0.418
0.665 0.587 0.750
0.709 0.540 0.250
0.743 0.999 0.585
0.743 0.999 0.915
0.744 0.743 0.085
0.744 0.743 0.415
0.831 0.291 0.250
0.873 0.499 0.082
0.873 0.499 0.418
0.923 0.335 0.750
0.999 0.256 0.085
0.999 0.256 0.415
```

3.
Here is GdFeB4 after structural relaxation from Materials Project. Energies are from PBE.

Output
* calculated total energy: -8.7910 eV/atom
* space group: No. 55
* energy of formation: -0.58 eV/atom
* calculated density: 7.35 g/cm3

Cell and atoms, written as POSCAR:
```
GdFeB4
1.0
5.932 0.000 0.000
0.000 11.478 0.000
0.000 0.000 3.402
Gd Fe B
4 4 16
direct
0.126 0.150 0.000
0.374 0.650 0.000
0.626 0.350 0.000
0.874 0.850 0.000
0.132 0.412 0.000
0.368 0.912 0.000
0.632 0.088 0.000
0.868 0.588 0.000
0.024 0.690 0.500
0.111 0.546 0.500
0.140 0.968 0.500
0.219 0.817 0.500
0.281 0.317 0.500
0.360 0.468 0.500
0.389 0.046 0.500
0.476 0.190 0.500
0.524 0.810 0.500
0.611 0.954 0.500
0.640 0.532 0.500
0.719 0.683 0.500
0.781 0.183 0.500
0.860 0.032 0.500
0.889 0.454 0.500
0.976 0.310 0.500
```

4.
Here is NaPr2S2O8F3 after structural relaxation from Materials Project. Energies are from PBE.

Output
* calculated total energy: -6.5982 eV/atom
* space group: No. 15
* corrected total energy (MP2020 scheme): -7.028 eV per atom
* energy of formation: -3.00 eV/atom
* calculated density: 4.44 g/cm3

Cell and atoms, written as POSCAR:
```
NaPr2S2O8F3
1.0
7.916 -3.497 0.000
7.916 3.497 0.000
-3.610 0.000 7.478
Na Pr S O F
2 4 4 16 6
direct
0.118 0.882 0.750
0.882 0.118 0.250
0.289 0.471 0.038
0.471 0.289 0.538
0.529 0.711 0.462
0.711 0.529 0.962
0.092 0.266 0.661
0.266 0.092 0.161
0.734 0.908 0.839
0.908 0.734 0.339
0.033 0.207 0.111
0.044 0.346 0.844
0.106 0.630 0.474
0.207 0.033 0.611
0.227 0.323 0.679
0.323 0.227 0.179
0.346 0.044 0.344
0.370 0.894 0.026
0.630 0.106 0.974
0.654 0.956 0.656
0.677 0.773 0.821
0.773 0.677 0.321
0.793 0.967 0.389
0.894 0.370 0.526
0.956 0.654 0.156
0.967 0.793 0.889
0.216 0.784 0.250
0.397 0.512 0.840
0.488 0.603 0.660
0.512 0.397 0.340
0.603 0.488 0.160
0.784 0.216 0.750
```

5.
Here is Pr2SmS4 after structural relaxation from Materials Project. Energies are from PBE.

Output
* calculated total energy: -6.4131 eV/atom
* space group: No. 122
* corrected total energy (MP2020 scheme): -6.700 eV per atom
* energy of formation: -2.30 eV/atom
* calculated density: 5.87 g/cm3

Cell and atoms, written as POSCAR:
```
Pr2SmS4
1.0
-4.289 4.289 4.308
4.289 -4.289 4.308
4.289 4.289 -4.308
Pr Sm S
4 2 8
direct
0.375 0.001 0.126
0.751 0.625 0.626
0.875 0.249 0.874
0.999 0.125 0.374
0.250 0.750 0.500
0.500 0.500 0.000
0.128 0.025 0.749
0.129 0.526 0.751
0.276 0.379 0.251
0.474 0.225 0.603
0.621 0.872 0.897
0.622 0.871 0.397
0.775 0.378 0.249
0.975 0.724 0.103
```

6.
Here is Ce2S2O after structural relaxation from Materials Project. Energies are from PBE.

Output
* calculated total energy: -7.5186 eV/atom
* space group: No. 14
* corrected total energy (MP2020 scheme): -7.857 eV per atom
* energy of formation: -2.84 eV/atom
* calculated density: 5.62 g/cm3

Cell and atoms, written as POSCAR:
```
Ce2S2O
1.0
8.500 0.000 0.000
0.000 7.215 0.000
-0.920 0.000 6.944
Ce S O
8 8 4
direct
0.085 0.127 0.305
0.085 0.373 0.805
0.361 0.556 0.247
0.361 0.944 0.747
0.639 0.056 0.253
0.639 0.444 0.753
0.915 0.627 0.195
0.915 0.873 0.695
0.169 0.658 0.549
0.169 0.842 0.049
0.419 0.230 0.474
0.419 0.270 0.974
0.581 0.730 0.026
0.581 0.770 0.526
0.831 0.158 0.951
0.831 0.342 0.451
0.115 0.089 0.649
0.115 0.411 0.149
0.885 0.589 0.851
0.885 0.911 0.351
```

7.
Here is Li2AgPb after structural relaxation from Materials Project. Energies are from PBE.

Output
* calculated total energy: -2.8584 eV/atom
* space group: No. 216
* energy of formation: -0.27 eV/atom
* calculated density: 7.04 g/cm3

Cell and atoms, written as POSCAR:
```
Li2AgPb
1.0
0.000 3.385 3.385
3.385 0.000 3.385
3.385 3.385 0.000
Li Ag Pb
2 1 1
direct
0.000 0.000 0.000
0.250 0.250 0.250
0.500 0.500 0.500
0.750 0.750 0.750
```

8.
Here is Zn4RuN4 after structural relaxation from Materials Project. Energies are from PBE.

Output
* calculated total energy: -4.9409 eV/atom
* space group: No. 2
* corrected total energy (MP2020 scheme): -5.101 eV per atom
* energy of formation: 0.19 eV/atom
* calculated density: 6.03 g/cm3

Cell and atoms, written as POSCAR:
```
Zn4RuN4
1.0
5.661 0.000 0.000
2.132 5.325 0.000
1.771 1.246 7.657
Zn Ru N
8 2 8
direct
0.131 0.184 0.388
0.235 0.261 0.000
0.346 0.884 0.752
0.351 0.395 0.635
0.649 0.605 0.365
0.654 0.116 0.248
0.765 0.739 0.000
0.869 0.816 0.612
0.221 0.695 0.212
0.779 0.305 0.788
0.002 0.497 0.809
0.027 0.071 0.653
0.364 0.848 0.006
0.396 0.382 0.375
0.604 0.618 0.625
0.636 0.152 0.994
0.973 0.929 0.347
0.998 0.503 0.191
```

9.
Here is Sm2ZrS5 after structural relaxation from Materials Project. Energies are from PBE.

Output
* calculated total energy: -6.7195 eV/atom
* space group: No. 62
* corrected total energy (MP2020 scheme): -7.034 eV per atom
* energy of formation: -2.20 eV/atom
* calculated density: 5.39 g/cm3

Cell and atoms, written as POSCAR:
```
Sm2ZrS5
1.0
11.721 0.000 0.000
0.000 7.894 0.000
0.000 0.000 7.362
Sm Zr S
8 4 20
direct
0.178 0.002 0.026
0.178 0.498 0.026
0.322 0.502 0.526
0.322 0.998 0.526
0.678 0.002 0.474
0.678 0.498 0.474
0.822 0.502 0.974
0.822 0.998 0.974
0.007 0.750 0.577
0.493 0.250 0.077
0.507 0.750 0.923
0.993 0.250 0.423
0.004 0.750 0.946
0.092 0.036 0.661
0.092 0.464 0.661
0.182 0.750 0.334
0.207 0.250 0.313
0.293 0.750 0.813
0.318 0.250 0.834
0.408 0.536 0.161
0.408 0.964 0.161
0.496 0.250 0.446
0.504 0.750 0.554
0.592 0.036 0.839
0.592 0.464 0.839
0.682 0.750 0.166
0.707 0.250 0.187
0.793 0.750 0.687
0.818 0.250 0.666
0.908 0.536 0.339
0.908 0.964 0.339
0.996 0.250 0.054
```

10.
Here is LaTiO3 after structural relaxation from Materials Project. Energies are from PBE.

Output
* calculated total energy: -8.7626 eV/atom
* space group: No. 62
* corrected total energy (MP2020 scheme): -9.175 eV per atom
* energy of formation: -3.64 eV/atom
* calculated density: 6.22 g/cm3

Cell and atoms, written as POSCAR:
```
LaTiO3
1.0
5.673 0.000 0.000
0.000 7.938 0.000
0.000 0.000 5.569
La Ti O
4 4 12
direct
0.047 0.250 0.008
0.453 0.750 0.508
0.547 0.250 0.492
0.953 0.750 0.992
0.000 0.000 0.500
0.000 0.500 0.500
0.500 0.000 0.000
0.500 0.500 0.000
0.013 0.750 0.431
0.211 0.537 0.791
0.211 0.963 0.791
0.289 0.037 0.291
0.289 0.463 0.291
0.487 0.250 0.931
0.513 0.750 0.069
0.711 0.537 0.709
0.711 0.963 0.709
0.789 0.037 0.209
0.789 0.463 0.209
0.987 0.250 0.569
```